Computed, not measured: PBr5 after structural relaxation at the meta-GGA r2SCAN level of DFT.

Summary:
V, Å³ per cell: 848.4
Calculated formation energy, kcal/mol of atoms: -8.5

Unit cell a=5.765 b=17.404 c=8.456 alpha=90.00 beta=90.00 gamma=90.00
Space group Pbcm (No. 57)
One atom of each set of equivalent atoms:
P 0.023 0.135 0.250
Br 0.175 0.742 0.250
Br 0.214 0.538 0.250
Br 0.242 0.129 0.040
Br 0.439 0.603 0.750

***

Computed, not measured: PBr7 after structural relaxation at the meta-GGA r2SCAN level of DFT.

Summary:
V, Å³ per cell: 1116.7
Calculated formation energy, kcal/mol of atoms: -6.6

Unit cell a=9.389 b=8.113 c=14.659 alpha=90.00 beta=90.00 gamma=90.00
Space group Pnma (No. 62)
One atom of each set of equivalent atoms:
P 0.115 0.250 0.147
Br 0.078 0.250 0.292
Br 0.087 0.750 0.924
Br 0.090 0.250 0.519
Br 0.112 0.250 0.797
Br 0.162 0.750 0.376
Br 0.235 0.034 0.107

***

Computed, not measured: PBr3 after structural relaxation at the meta-GGA r2SCAN level of DFT.

Summary:
V, Å³ per cell: 558.5
Calculated formation energy, kcal/mol of atoms: -9.6

Unit cell a=8.323 b=10.168 c=6.599 alpha=90.00 beta=90.00 gamma=90.00
Space group Pnma (No. 62)
One atom of each set of equivalent atoms:
P 0.037 0.250 0.027
Br 0.107 0.250 0.699
Br 0.181 0.081 0.148

***

Computed, not measured: Sr2P7Br after structural relaxation at the meta-GGA r2SCAN level of DFT.

Summary:
V, Å³ per cell: 967.3
Calculated formation energy, kcal/mol of atoms: -19.4

Unit cell a=9.890 b=9.890 c=9.890 alpha=90.00 beta=90.00 gamma=90.00
Space group P2_13 (No. 198)
One atom of each set of equivalent atoms:
Sr 0.087 0.087 0.087
Sr 0.148 0.648 0.852
P 0.037 0.963 0.463
P 0.056 0.381 0.218
P 0.113 0.769 0.202
Br 0.097 0.403 0.597

***

Computed, not measured: PaBr4 after structural relaxation at the meta-GGA r2SCAN level of DFT.

Summary:
V, Å³ per cell: 640.7
Calculated formation energy, kcal/mol of atoms: -39.8

Unit cell a=8.882 b=8.882 c=8.122 alpha=90.00 beta=90.00 gamma=90.00
Space group I4_1/amd (No. 141, origin choice 2)
One atom of each set of equivalent atoms:
Pa 0.000 0.250 0.375
Br 0.000 0.062 0.698

***

Computed, not measured: PaBr5 after structural relaxation at the meta-GGA r2SCAN level of DFT.

Summary:
V, Å³ per cell: 922.0
Calculated formation energy, kcal/mol of atoms: -37.4

Unit cell a=8.737 b=11.541 c=12.527 alpha=90.00 beta=133.12 gamma=90.00
Space group P2_1/c (No. 14)
One atom of each set of equivalent atoms:
Pa 0.214 0.137 0.161
Br 0.000 0.128 0.240
Br 0.182 0.613 0.638
Br 0.185 0.134 0.639
Br 0.401 0.126 0.061
Br 0.422 0.625 0.065